Crystalline Li4V3P8O29 at its relaxed geometry, computed with GGA+U.

CIF file:
```
data_Li4V3P8O29
_cell_length_a 9.770
_cell_length_b 9.775
_cell_length_c 14.189
_cell_angle_alpha 89.93
_cell_angle_beta 89.58
_cell_angle_gamma 60.02
_symmetry_space_group_name_H-M 'P 1'
_symmetry_Int_Tables_number 1
loop_
_symmetry_equiv_pos_as_xyz
'x,y,z'
loop_
_atom_site_label
_atom_site_type_symbol
_atom_site_fract_x
_atom_site_fract_y
_atom_site_fract_z
Li1 Li 0.000 0.000 0.000
Li2 Li 0.000 0.413 0.500
Li3 Li 0.075 0.239 0.879
Li4 Li 0.431 0.555 0.502
Li5 Li 0.449 0.414 0.997
Li6 Li 0.673 0.097 0.878
Li7 Li 0.762 0.322 0.449
Li8 Li 0.862 0.988 0.501
V1 V 0.197 0.325 0.686
V2 V 0.206 0.885 0.196
V3 V 0.333 0.317 0.194
V4 V 0.336 0.752 0.691
V5 V 0.767 0.753 0.189
V6 V 0.769 0.881 0.691
P1 P 0.074 0.095 0.601
P2 P 0.086 0.229 0.099
P3 P 0.104 0.655 0.073
P4 P 0.104 0.655 0.569
P5 P 0.427 0.992 0.808
P6 P 0.436 0.986 0.309
P7 P 0.445 0.410 0.783
P8 P 0.456 0.545 0.285
P9 P 0.543 0.632 0.103
P10 P 0.546 0.234 0.602
P11 P 0.679 0.093 0.101
P12 P 0.685 0.624 0.601
P13 P 0.850 0.549 0.786
P14 P 0.852 0.008 0.283
P15 P 0.989 0.408 0.281
P16 P 0.999 0.001 0.784
O1 O 0.014 0.072 0.875
O2 O 0.015 0.307 0.009
O3 O 0.021 0.404 0.775
O4 O 0.025 0.976 0.271
O5 O 0.087 0.512 0.605
O6 O 0.102 0.661 0.968
O7 O 0.106 0.802 0.116
O8 O 0.107 0.235 0.598
O9 O 0.109 0.059 0.105
O10 O 0.121 0.653 0.464
O11 O 0.148 0.408 0.266
O12 O 0.148 0.840 0.762
O13 O 0.229 0.935 0.610
O14 O 0.246 0.222 0.121
O15 O 0.250 0.501 0.113
O16 O 0.259 0.642 0.614
O17 O 0.278 0.138 0.767
O18 O 0.284 0.424 0.763
O19 O 0.284 0.991 0.265
O20 O 0.298 0.703 0.270
O21 O 0.386 0.239 0.610
O22 O 0.389 0.792 0.121
O23 O 0.420 0.985 0.913
O24 O 0.423 0.407 0.269
O25 O 0.427 0.845 0.758
O26 O 0.429 0.576 0.774
O27 O 0.431 0.990 0.413
O28 O 0.437 0.135 0.264
O29 O 0.510 0.658 0.602
O30 O 0.511 0.239 0.101
O31 O 0.518 0.328 0.874
O32 O 0.532 0.533 0.377
O33 O 0.537 0.543 0.021
O34 O 0.563 0.326 0.523
O35 O 0.567 0.307 0.701
O36 O 0.570 0.531 0.200
O37 O 0.580 0.839 0.263
O38 O 0.580 0.992 0.772
O39 O 0.672 0.941 0.117
O40 O 0.684 0.663 0.105
O41 O 0.685 0.061 0.603
O42 O 0.687 0.779 0.607
O43 O 0.758 0.529 0.697
O44 O 0.763 0.117 0.192
O45 O 0.768 0.084 0.012
O46 O 0.772 0.516 0.520
O47 O 0.772 0.555 0.876
O48 O 0.782 0.093 0.373
O49 O 0.849 0.853 0.268
O50 O 0.849 0.985 0.782
O51 O 0.851 0.579 0.271
O52 O 0.861 0.701 0.762
O53 O 0.952 0.662 0.118
O54 O 0.959 0.811 0.607
O55 O 0.967 0.109 0.522
O56 O 0.975 0.317 0.190
O57 O 0.981 0.119 0.700
O58 O 0.981 0.335 0.371
```

Results
energy above the lowest structure with this stoichiometry = 11.5 meV/atom
energy of formation from the pure elements = -2.57 eV/atom
ρ = 2.5 g/cm³
symmetry = P1
E = -7.04 eV per atom

---

Crystalline PrEuHfVO6 at its relaxed geometry, computed with GGA+U.

CIF file:
```
data_PrEuHfVO6
_cell_length_a 5.696
_cell_length_b 5.696
_cell_length_c 5.696
_cell_angle_alpha 60.00
_cell_angle_beta 60.00
_cell_angle_gamma 60.00
_symmetry_space_group_name_H-M 'P 1'
_symmetry_Int_Tables_number 1
loop_
_symmetry_equiv_pos_as_xyz
'x,y,z'
loop_
_atom_site_label
_atom_site_type_symbol
_atom_site_fract_x
_atom_site_fract_y
_atom_site_fract_z
Pr1 Pr 0.000 0.000 0.000
Eu1 Eu 0.500 0.500 0.500
Hf1 Hf 0.750 0.750 0.750
V1 V 0.250 0.250 0.250
O1 O 0.003 0.003 0.497
O2 O 0.003 0.497 0.003
O3 O 0.003 0.497 0.497
O4 O 0.497 0.003 0.003
O5 O 0.497 0.003 0.497
O6 O 0.497 0.497 0.003
```

Results
energy of formation from the pure elements = -3.33 eV/atom
ρ = 7.9 g/cm³
symmetry = F-43m
E = -9.12 eV per atom

---

Crystalline Li3FeBPO7 at its relaxed geometry, computed with GGA+U.

CIF file:
```
data_Li3FeBPO7
_cell_length_a 5.020
_cell_length_b 6.449
_cell_length_c 8.421
_cell_angle_alpha 90.00
_cell_angle_beta 93.61
_cell_angle_gamma 90.00
_symmetry_space_group_name_H-M 'P 1'
_symmetry_Int_Tables_number 1
loop_
_symmetry_equiv_pos_as_xyz
'x,y,z'
loop_
_atom_site_label
_atom_site_type_symbol
_atom_site_fract_x
_atom_site_fract_y
_atom_site_fract_z
Li1 Li 0.237 0.250 0.417
Li2 Li 0.254 0.010 0.731
Li3 Li 0.254 0.490 0.731
Li4 Li 0.746 0.510 0.269
Li5 Li 0.746 0.990 0.269
Li6 Li 0.763 0.750 0.583
Fe1 Fe 0.283 0.750 0.167
Fe2 Fe 0.717 0.250 0.833
B1 B 0.229 0.750 0.457
B2 B 0.771 0.250 0.543
P1 P 0.219 0.250 0.081
P2 P 0.781 0.750 0.919
O1 O 0.023 0.750 0.334
O2 O 0.090 0.750 0.953
O3 O 0.167 0.750 0.611
O4 O 0.308 0.062 0.186
O5 O 0.308 0.438 0.186
O6 O 0.345 0.250 0.917
O7 O 0.486 0.750 0.401
O8 O 0.514 0.250 0.599
O9 O 0.655 0.750 0.083
O10 O 0.692 0.562 0.814
O11 O 0.692 0.938 0.814
O12 O 0.833 0.250 0.389
O13 O 0.910 0.250 0.047
O14 O 0.977 0.250 0.666
```

Results
energy of formation from the pure elements = -2.34 eV/atom
ρ = 2.8 g/cm³
symmetry = P2_1/m
E = -6.48 eV per atom